--- w ---
Below is an optimized crystal structure of Mg6FeSn, with properties calculated at the PBE-GGA level.

Geometry as CIF:
```
data_Mg6FeSn
_chemical_formula_sum 'Mg12 Fe2 Sn2'
_cell_length_a 4.956
_cell_length_b 6.228
_cell_length_c 10.835
_cell_angle_alpha 90.00
_cell_angle_beta 90.00
_cell_angle_gamma 90.00
_space_group_name_H-M_alt 'P 1'
_space_group_IT_number 1
_space_group_name_Hall 'P 1'
loop_
_atom_site_label
_atom_site_type_symbol
_atom_site_fract_x
_atom_site_fract_y
_atom_site_fract_z
Sn1 Sn 0.500 0.500 0.168
Fe1 Fe 0.500 0.000 0.167
Mg1 Mg 0.500 0.251 0.916
Mg2 Mg 0.000 0.000 0.836
Mg3 Mg 0.000 0.264 0.585
Sn2 Sn 0.500 0.000 0.668
Mg4 Mg 0.000 0.000 0.326
Mg5 Mg 0.000 0.764 0.085
Mg6 Mg 0.500 0.751 0.416
Mg7 Mg 0.500 0.249 0.416
Mg8 Mg 0.000 0.236 0.085
Fe2 Fe 0.500 0.500 0.667
Mg9 Mg 0.000 0.736 0.585
Mg10 Mg 0.500 0.749 0.916
Mg11 Mg 0.000 0.500 0.336
Mg12 Mg 0.000 0.500 0.826
```

Output
V, Å³/f.u.: 167.2
Magnetization, μB/cell: 4.95

=====

--- x ---
Below is an optimized crystal structure of Mg6FeSn, with properties calculated at the PBE-GGA level.

Geometry as CIF:
```
data_Mg6FeSn
_chemical_formula_sum 'Mg12 Fe2 Sn2'
_cell_length_a 4.924
_cell_length_b 6.344
_cell_length_c 10.727
_cell_angle_alpha 90.00
_cell_angle_beta 90.00
_cell_angle_gamma 90.00
_space_group_name_H-M_alt 'P 1'
_space_group_IT_number 1
_space_group_name_Hall 'P 1'
loop_
_atom_site_label
_atom_site_type_symbol
_atom_site_fract_x
_atom_site_fract_y
_atom_site_fract_z
Mg1 Mg 0.000 0.744 0.584
Mg2 Mg 0.000 0.000 0.337
Mg3 Mg 0.000 0.244 0.084
Mg4 Mg 0.500 0.000 0.166
Fe1 Fe 0.000 0.500 0.339
Mg5 Mg 0.500 0.762 0.910
Mg6 Mg 0.500 0.262 0.410
Mg7 Mg 0.500 0.238 0.910
Fe2 Fe 0.000 0.000 0.839
Sn1 Sn 0.500 0.000 0.669
Mg8 Mg 0.500 0.500 0.666
Mg9 Mg 0.000 0.256 0.584
Mg10 Mg 0.000 0.500 0.837
Sn2 Sn 0.500 0.500 0.169
Mg11 Mg 0.000 0.756 0.084
Mg12 Mg 0.500 0.738 0.410
```

Output
V, Å³/f.u.: 167.5
Magnetization, μB/cell: 4.37

=====

x (0.005 eV/atom below the next structure)

=====

--- w ---
Below is an optimized crystal structure of Mg14VFe, with properties calculated at the PBE-GGA level.

Geometry as CIF:
```
data_Mg14VFe
_chemical_formula_sum 'Mg14 V1 Fe1'
_cell_length_a 9.933
_cell_length_b 6.266
_cell_length_c 6.266
_cell_angle_alpha 59.06
_cell_angle_beta 90.00
_cell_angle_gamma 90.00
_space_group_name_H-M_alt 'P 1'
_space_group_IT_number 1
_space_group_name_Hall 'P 1'
loop_
_atom_site_label
_atom_site_type_symbol
_atom_site_fract_x
_atom_site_fract_y
_atom_site_fract_z
Mg1 Mg 0.000 0.000 0.000
Mg2 Mg 0.000 0.003 0.501
Mg3 Mg 0.000 0.499 0.499
Mg4 Mg 0.000 0.501 0.003
Mg5 Mg 0.252 0.663 0.663
Mg6 Mg 0.263 0.160 0.160
Mg7 Mg 0.267 0.166 0.675
Mg8 Mg 0.267 0.675 0.166
Mg9 Mg 0.500 0.503 0.998
Mg10 Mg 0.500 0.998 0.503
Mg11 Mg 0.733 0.166 0.675
Mg12 Mg 0.733 0.675 0.166
Mg13 Mg 0.737 0.160 0.160
Mg14 Mg 0.748 0.663 0.663
V1 V 0.500 0.505 0.505
Fe1 Fe 0.500 0.003 0.003
```

Output
V, Å³/f.u.: 334.5
Crystal system: orthorhombic
Magnetization, μB/cell: 3.11

=====

--- x ---
Below is an optimized crystal structure of Mg14VFe, with properties calculated at the PBE-GGA level.

Geometry as CIF:
```
data_Mg14VFe
_chemical_formula_sum 'Mg14 V1 Fe1'
_cell_length_a 6.287
_cell_length_b 6.287
_cell_length_c 9.909
_cell_angle_alpha 90.00
_cell_angle_beta 90.00
_cell_angle_gamma 120.00
_space_group_name_H-M_alt 'P 1'
_space_group_IT_number 1
_space_group_name_Hall 'P 1'
loop_
_atom_site_label
_atom_site_type_symbol
_atom_site_fract_x
_atom_site_fract_y
_atom_site_fract_z
Mg1 Mg 0.000 0.000 0.249
Mg2 Mg 0.000 0.000 0.751
Mg3 Mg 0.012 0.506 0.252
Mg4 Mg 0.012 0.506 0.748
Mg5 Mg 0.334 0.167 0.500
Mg6 Mg 0.335 0.168 0.000
Mg7 Mg 0.494 0.506 0.252
Mg8 Mg 0.494 0.506 0.748
Mg9 Mg 0.494 0.988 0.252
Mg10 Mg 0.494 0.988 0.748
Mg11 Mg 0.832 0.168 0.000
Mg12 Mg 0.832 0.665 0.000
Mg13 Mg 0.833 0.167 0.500
Mg14 Mg 0.833 0.666 0.500
V1 V 0.333 0.667 0.000
Fe1 Fe 0.333 0.667 0.500
```

Output
V, Å³/f.u.: 339.1
Crystal system: hexagonal
Magnetization, μB/cell: 6.01

=====

x (0.025 eV/atom below the next structure)

=====

--- w ---
Below is an optimized crystal structure of Mg6VFe, with properties calculated at the PBE-GGA level.

Geometry as CIF:
```
data_Mg6VFe
_chemical_formula_sum 'Mg12 V2 Fe2'
_cell_length_a 4.859
_cell_length_b 6.092
_cell_length_c 10.590
_cell_angle_alpha 90.00
_cell_angle_beta 90.00
_cell_angle_gamma 90.00
_space_group_name_H-M_alt 'P 1'
_space_group_IT_number 1
_space_group_name_Hall 'P 1'
loop_
_atom_site_label
_atom_site_type_symbol
_atom_site_fract_x
_atom_site_fract_y
_atom_site_fract_z
Mg1 Mg 0.500 0.249 0.921
V1 V 0.500 0.500 0.170
Mg2 Mg 0.000 0.753 0.087
Mg3 Mg 0.000 0.500 0.821
Mg4 Mg 0.500 0.251 0.421
V2 V 0.500 0.000 0.670
Mg5 Mg 0.000 0.500 0.325
Mg6 Mg 0.000 0.000 0.321
Mg7 Mg 0.500 0.751 0.921
Mg8 Mg 0.000 0.247 0.087
Mg9 Mg 0.000 0.253 0.587
Mg10 Mg 0.000 0.747 0.587
Fe1 Fe 0.500 0.500 0.668
Mg11 Mg 0.000 0.000 0.825
Mg12 Mg 0.500 0.749 0.421
Fe2 Fe 0.500 0.000 0.168
```

Output
V, Å³/f.u.: 156.7
Magnetization, μB/cell: 10.90

=====

--- x ---
Below is an optimized crystal structure of Mg6VFe, with properties calculated at the PBE-GGA level.

Geometry as CIF:
```
data_Mg6VFe
_chemical_formula_sum 'Mg12 V2 Fe2'
_cell_length_a 4.755
_cell_length_b 6.021
_cell_length_c 10.938
_cell_angle_alpha 90.00
_cell_angle_beta 90.00
_cell_angle_gamma 90.00
_space_group_name_H-M_alt 'P 1'
_space_group_IT_number 1
_space_group_name_Hall 'P 1'
loop_
_atom_site_label
_atom_site_type_symbol
_atom_site_fract_x
_atom_site_fract_y
_atom_site_fract_z
Mg1 Mg 0.500 0.500 0.669
Fe1 Fe 0.000 0.000 0.805
Mg2 Mg 0.000 0.740 0.082
Mg3 Mg 0.000 0.000 0.329
Mg4 Mg 0.500 0.741 0.421
Mg5 Mg 0.500 0.000 0.169
Mg6 Mg 0.000 0.760 0.582
Mg7 Mg 0.000 0.240 0.582
Mg8 Mg 0.500 0.259 0.421
Mg9 Mg 0.000 0.260 0.082
Mg10 Mg 0.000 0.500 0.829
Fe2 Fe 0.000 0.500 0.305
V1 V 0.500 0.500 0.192
Mg11 Mg 0.500 0.759 0.921
Mg12 Mg 0.500 0.241 0.921
V2 V 0.500 0.000 0.692
```

Output
V, Å³/f.u.: 156.6
Magnetization, μB/cell: 6.56

=====

x (0.012 eV/atom below the next structure)

=====

--- w ---
Below is an optimized crystal structure of Mg6FeW, with properties calculated at the PBE-GGA level.

Geometry as CIF:
```
data_Mg6FeW
_chemical_formula_sum 'Mg12 Fe2 W2'
_cell_length_a 4.684
_cell_length_b 5.850
_cell_length_c 10.907
_cell_angle_alpha 90.00
_cell_angle_beta 90.00
_cell_angle_gamma 90.00
_space_group_name_H-M_alt 'P 1'
_space_group_IT_number 1
_space_group_name_Hall 'P 1'
loop_
_atom_site_label
_atom_site_type_symbol
_atom_site_fract_x
_atom_site_fract_y
_atom_site_fract_z
Fe1 Fe 0.000 0.000 0.802
Mg1 Mg 0.500 0.258 0.423
Mg2 Mg 0.000 0.738 0.081
Mg3 Mg 0.000 0.262 0.081
Mg4 Mg 0.500 0.500 0.671
Mg5 Mg 0.500 0.758 0.923
Mg6 Mg 0.000 0.500 0.826
Mg7 Mg 0.500 0.242 0.923
Mg8 Mg 0.500 0.742 0.423
W1 W 0.500 0.000 0.692
Fe2 Fe 0.000 0.500 0.302
W2 W 0.500 0.500 0.192
Mg9 Mg 0.000 0.000 0.326
Mg10 Mg 0.000 0.762 0.581
Mg11 Mg 0.000 0.238 0.581
Mg12 Mg 0.500 0.000 0.171
```

Output
V, Å³/f.u.: 149.4
Magnetization, μB/cell: 3.05

=====

--- x ---
Below is an optimized crystal structure of Mg6FeW, with properties calculated at the PBE-GGA level.

Geometry as CIF:
```
data_Mg6FeW
_chemical_formula_sum 'Mg12 Fe2 W2'
_cell_length_a 4.848
_cell_length_b 5.820
_cell_length_c 10.662
_cell_angle_alpha 90.00
_cell_angle_beta 90.00
_cell_angle_gamma 90.00
_space_group_name_H-M_alt 'P 1'
_space_group_IT_number 1
_space_group_name_Hall 'P 1'
loop_
_atom_site_label
_atom_site_type_symbol
_atom_site_fract_x
_atom_site_fract_y
_atom_site_fract_z
Fe1 Fe 0.500 0.500 0.669
Mg1 Mg 0.000 0.000 0.821
W1 W 0.500 0.500 0.174
W2 W 0.500 0.000 0.674
Mg2 Mg 0.500 0.750 0.422
Mg3 Mg 0.500 0.750 0.922
Mg4 Mg 0.000 0.246 0.587
Fe2 Fe 0.500 0.000 0.169
Mg5 Mg 0.000 0.754 0.587
Mg6 Mg 0.500 0.250 0.422
Mg7 Mg 0.500 0.250 0.922
Mg8 Mg 0.000 0.500 0.817
Mg9 Mg 0.000 0.746 0.087
Mg10 Mg 0.000 0.000 0.317
Mg11 Mg 0.000 0.254 0.087
Mg12 Mg 0.000 0.500 0.321
```

Output
V, Å³/f.u.: 150.4
Magnetization, μB/cell: 3.94

=====

w (0.070 eV/atom below the next structure)